(1)
VASP calculation (r²SCAN) on LuZnPd2 after structural relaxation.

## Properties
Crystal system ... cubic
Formation energy ... -0.8130 eV/atom
DFT total energy ... -24.041 eV per atom
Volume ... 269 Å³ per cell

Cell: 6.459 6.459 6.459 Å, 90.00 90.00 90.00°
Space group Fm-3m (No. 225)
Inequivalent atoms, fractional coordinates:
Lu: 0.000 0.000 0.000 (multiplicity 4)
Zn: 0.000 0.000 0.500 (multiplicity 4)
Pd: 0.250 0.250 0.250 (multiplicity 8)



(2)
VASP calculation (r²SCAN) on LiYS2 after structural relaxation.

## Properties
Crystal system ... tetragonal
Formation energy ... -2.1115 eV/atom
DFT total energy ... -11.804 eV per atom
Volume ... 328 Å³ per cell

Cell: 5.431 5.431 11.106 Å, 90.00 90.00 90.00°
Space group I4_1/amd (No. 141, origin choice 2)
Inequivalent atoms, fractional coordinates:
Li: 0.000 0.250 0.375 (multiplicity 4)
Y: 0.000 0.250 0.875 (multiplicity 4)
S: 0.000 0.250 0.120 (multiplicity 8)